Entry 1:
## Mn2SeN2 (GGA-PBE)

Data for Mn2SeN2 after structural relaxation.

Cell lengths 3.186, 3.170, 6.402 Å; angles 90.00, 90.32, 119.84 degrees
Fractional coordinates of all 5 atoms:
1 Mn 0.663 0.332 0.681
2 Mn 0.337 0.668 0.319
3 Se 0.000 0.000 0.000
4 N 0.672 0.336 0.368
5 N 0.328 0.664 0.632

Results
Formation enthalpy at 0 K = -0.42 eV per formula unit
Total DFT energy (no corrections) = -38.189 eV for the cell shown
Volume = 56.1 Å³ per cell
Symmetry = No. 12

=====

Entry 2:
## Mn4Se3N2 (GGA-PBE)

Data for Mn4Se3N2 after structural relaxation.

Cell lengths 6.112, 10.379, 8.934 Å; angles 90.00, 90.00, 90.00 degrees
Fractional coordinates of all 36 atoms:
1 Mn 0.490 0.250 0.852
2 Mn 0.990 0.250 0.648
3 Mn 0.510 0.750 0.148
4 Mn 0.010 0.750 0.352
5 Mn 0.788 0.250 0.404
6 Mn 0.288 0.250 0.096
7 Mn 0.212 0.750 0.596
8 Mn 0.712 0.750 0.904
9 Mn 0.702 0.468 0.069
10 Mn 0.202 0.032 0.431
11 Mn 0.298 0.968 0.931
12 Mn 0.798 0.532 0.569
13 Mn 0.298 0.532 0.931
14 Mn 0.798 0.968 0.569
15 Mn 0.702 0.032 0.069
16 Mn 0.202 0.468 0.431
17 Se 0.884 0.250 0.144
18 Se 0.384 0.250 0.356
19 Se 0.116 0.750 0.856
20 Se 0.616 0.750 0.644
21 Se 0.569 0.563 0.327
22 Se 0.069 0.937 0.173
23 Se 0.431 0.063 0.673
24 Se 0.931 0.437 0.827
25 Se 0.431 0.437 0.673
26 Se 0.931 0.063 0.827
27 Se 0.569 0.937 0.327
28 Se 0.069 0.563 0.173
29 N 0.559 0.621 0.989
30 N 0.059 0.879 0.511
31 N 0.441 0.121 0.011
32 N 0.941 0.379 0.489
33 N 0.441 0.379 0.011
34 N 0.941 0.121 0.489
35 N 0.559 0.879 0.989
36 N 0.059 0.621 0.511

Results
Formation enthalpy at 0 K = -2.59 eV per formula unit
Total DFT energy (no corrections) = -262.697 eV for the cell shown
Volume = 566.7 Å³ per cell
Symmetry = No. 62
Polymorph energy (0 for the lowest one) = 0 meV/atom

=====

Entry 3:
## Mn4Se3N2 (GGA-PBE)

Data for Mn4Se3N2 after structural relaxation.

Cell lengths 6.229, 15.086, 3.130 Å; angles 90.00, 90.00, 90.00 degrees
Fractional coordinates of all 18 atoms:
1 Mn 0.697 0.981 0.500
2 Mn 0.303 0.019 0.500
3 Mn 0.197 0.519 0.000
4 Mn 0.803 0.481 0.000
5 Mn 0.985 0.664 0.500
6 Mn 0.015 0.336 0.500
7 Mn 0.485 0.836 0.000
8 Mn 0.515 0.164 0.000
9 Se 0.500 0.500 0.500
10 Se 0.000 0.000 0.000
11 Se 0.632 0.285 0.500
12 Se 0.368 0.715 0.500
13 Se 0.132 0.215 0.000
14 Se 0.868 0.785 0.000
15 N 0.555 0.091 0.500
16 N 0.445 0.909 0.500
17 N 0.055 0.409 0.000
18 N 0.945 0.591 0.000

Results
Formation enthalpy at 0 K = -1.46 eV per formula unit
Total DFT energy (no corrections) = -129.084 eV for the cell shown
Volume = 294.1 Å³ per cell
Symmetry = No. 58
Polymorph energy (0 for the lowest one) = 126 meV/atom

=====

Entry 4:
## Mn5Si3N9 (GGA-PBE)

Data for Mn5Si3N9 after structural relaxation.

Cell lengths 7.594, 10.122, 14.239 Å; angles 90.00, 90.00, 131.79 degrees
Fractional coordinates of all 68 atoms:
1 Mn 0.000 0.499 0.833
2 Mn 0.000 0.501 0.167
3 Mn 0.000 0.001 0.333
4 Mn 0.000 0.999 0.667
5 Mn 0.342 0.997 0.839
6 Mn 0.342 0.345 0.161
7 Mn 0.342 0.845 0.339
8 Mn 0.342 0.497 0.661
9 Mn 0.658 0.003 0.161
10 Mn 0.658 0.655 0.839
11 Mn 0.658 0.155 0.661
12 Mn 0.658 0.503 0.339
13 Mn 0.000 0.440 0.583
14 Mn 0.000 0.560 0.417
15 Mn 0.000 0.060 0.083
16 Mn 0.000 0.940 0.917
17 Mn 0.399 0.199 0.000
18 Mn 0.399 0.699 0.500
19 Mn 0.601 0.801 0.000
20 Mn 0.601 0.301 0.500
21 Si 0.000 0.718 0.007
22 Si 0.000 0.282 0.993
23 Si 0.000 0.782 0.507
24 Si 0.000 0.218 0.493
25 Si 0.000 0.241 0.774
26 Si 0.000 0.759 0.226
27 Si 0.000 0.259 0.274
28 Si 0.000 0.741 0.726
29 Si 0.500 0.819 0.750
30 Si 0.500 0.681 0.250
31 Si 0.500 0.181 0.250
32 Si 0.500 0.319 0.750
33 N 0.000 0.394 0.714
34 N 0.000 0.606 0.286
35 N 0.000 0.106 0.214
36 N 0.000 0.894 0.786
37 N 0.000 0.315 0.879
38 N 0.000 0.685 0.121
39 N 0.000 0.185 0.379
40 N 0.000 0.815 0.621
41 N 0.000 0.546 0.965
42 N 0.000 0.454 0.035
43 N 0.000 0.954 0.465
44 N 0.000 0.046 0.535
45 N 0.758 0.538 0.770
46 N 0.758 0.220 0.230
47 N 0.758 0.720 0.270
48 N 0.758 0.038 0.730
49 N 0.242 0.462 0.230
50 N 0.242 0.780 0.770
51 N 0.242 0.280 0.730
52 N 0.242 0.962 0.270
53 N 0.491 0.231 0.858
54 N 0.491 0.260 0.142
55 N 0.491 0.760 0.358
56 N 0.491 0.731 0.642
57 N 0.509 0.769 0.142
58 N 0.509 0.740 0.858
59 N 0.509 0.240 0.642
60 N 0.509 0.269 0.358
61 N 0.236 0.937 0.968
62 N 0.236 0.299 0.032
63 N 0.236 0.799 0.468
64 N 0.236 0.437 0.532
65 N 0.764 0.063 0.032
66 N 0.764 0.701 0.968
67 N 0.764 0.201 0.532
68 N 0.764 0.563 0.468

Results
Formation enthalpy at 0 K = -5.59 eV per formula unit
Total DFT energy (no corrections) = -557.808 eV for the cell shown
Volume = 816.0 Å³ per cell
Symmetry = No. 64

=====

Entry 5:
## Mn3Si6N11 (GGA-PBE)

Data for Mn3Si6N11 after structural relaxation.

Cell lengths 9.762, 9.762, 4.795 Å; angles 90.00, 90.00, 90.00 degrees
Fractional coordinates of all 40 atoms:
1 Mn 0.294 0.794 0.965
2 Mn 0.706 0.206 0.965
3 Mn 0.206 0.294 0.965
4 Mn 0.794 0.706 0.965
5 Mn 0.500 0.500 0.912
6 Mn 0.000 0.000 0.912
7 Si 0.420 0.290 0.532
8 Si 0.580 0.710 0.532
9 Si 0.080 0.790 0.532
10 Si 0.920 0.210 0.532
11 Si 0.290 0.580 0.532
12 Si 0.710 0.420 0.532
13 Si 0.790 0.920 0.532
14 Si 0.210 0.080 0.532
15 Si 0.884 0.384 0.047
16 Si 0.116 0.616 0.047
17 Si 0.616 0.884 0.047
18 Si 0.384 0.116 0.047
19 N 0.319 0.420 0.677
20 N 0.681 0.580 0.677
21 N 0.181 0.920 0.677
22 N 0.819 0.080 0.677
23 N 0.420 0.681 0.677
24 N 0.580 0.319 0.677
25 N 0.920 0.819 0.677
26 N 0.080 0.181 0.677
27 N 0.403 0.286 0.173
28 N 0.597 0.714 0.173
29 N 0.097 0.786 0.173
30 N 0.903 0.214 0.173
31 N 0.286 0.597 0.173
32 N 0.714 0.403 0.173
33 N 0.786 0.903 0.173
34 N 0.214 0.097 0.173
35 N 0.856 0.356 0.689
36 N 0.144 0.644 0.689
37 N 0.644 0.856 0.689
38 N 0.356 0.144 0.689
39 N 0.500 0.000 0.128
40 N 0.000 0.500 0.128

Results
Formation enthalpy at 0 K = -13.94 eV per formula unit
Total DFT energy (no corrections) = -323.419 eV for the cell shown
Volume = 457.0 Å³ per cell
Symmetry = No. 100

=====

Entry 6:
## Mn2Si4N7 (GGA-PBE)

Data for Mn2Si4N7 after structural relaxation.

Cell lengths 5.937, 5.808, 9.443 Å; angles 90.00, 90.00, 120.74 degrees
Fractional coordinates of all 26 atoms:
1 Mn 0.314 0.629 0.736
2 Mn 0.686 0.371 0.236
3 Mn 0.605 0.209 0.813
4 Mn 0.395 0.791 0.313
5 Si 0.007 0.013 0.811
6 Si 0.993 0.987 0.311
7 Si 0.802 0.127 0.547
8 Si 0.805 0.610 0.558
9 Si 0.326 0.127 0.547
10 Si 0.198 0.873 0.047
11 Si 0.195 0.390 0.058
12 Si 0.674 0.873 0.047
13 N 0.945 0.436 0.629
14 N 0.491 0.436 0.629
15 N 0.471 0.943 0.598
16 N 0.055 0.564 0.129
17 N 0.509 0.564 0.129
18 N 0.529 0.057 0.098
19 N 0.190 0.877 0.865
20 N 0.171 0.341 0.876
21 N 0.687 0.877 0.865
22 N 0.810 0.123 0.365
23 N 0.829 0.659 0.376
24 N 0.313 0.123 0.365
25 N 0.984 0.967 0.619
26 N 0.016 0.033 0.119

Results
Formation enthalpy at 0 K = -10.22 eV per formula unit
Total DFT energy (no corrections) = -212.147 eV for the cell shown
Volume = 279.9 Å³ per cell
Symmetry = No. 36

=====

Entry 7:
## Mn7SiN6 (GGA-PBE)

Data for Mn7SiN6 after structural relaxation.

Cell lengths 8.621, 5.914, 10.523 Å; angles 90.00, 90.00, 90.00 degrees
Fractional coordinates of all 56 atoms:
1 Mn 0.003 0.671 0.967
2 Mn 0.497 0.829 0.467
3 Mn 0.503 0.829 0.033
4 Mn 0.997 0.671 0.533
5 Mn 0.997 0.329 0.033
6 Mn 0.503 0.171 0.533
7 Mn 0.497 0.171 0.967
8 Mn 0.003 0.329 0.467
9 Mn 0.247 0.696 0.660
10 Mn 0.253 0.804 0.160
11 Mn 0.747 0.804 0.340
12 Mn 0.753 0.696 0.840
13 Mn 0.753 0.304 0.340
14 Mn 0.747 0.196 0.840
15 Mn 0.253 0.196 0.660
16 Mn 0.247 0.304 0.160
17 Mn 0.297 0.691 0.912
18 Mn 0.203 0.809 0.412
19 Mn 0.797 0.809 0.088
20 Mn 0.703 0.691 0.588
21 Mn 0.703 0.309 0.088
22 Mn 0.797 0.191 0.588
23 Mn 0.203 0.191 0.912
24 Mn 0.297 0.309 0.412
25 Mn 0.000 0.450 0.750
26 Mn 0.500 0.050 0.250
27 Mn 0.000 0.550 0.250
28 Mn 0.500 0.950 0.750
29 Si 0.000 0.959 0.750
30 Si 0.500 0.541 0.250
31 Si 0.000 0.041 0.250
32 Si 0.500 0.459 0.750
33 N 0.115 0.728 0.811
34 N 0.385 0.772 0.311
35 N 0.615 0.772 0.189
36 N 0.885 0.728 0.689
37 N 0.885 0.272 0.189
38 N 0.615 0.228 0.689
39 N 0.385 0.228 0.811
40 N 0.115 0.272 0.311
41 N 0.204 0.542 0.507
42 N 0.296 0.958 0.007
43 N 0.704 0.958 0.493
44 N 0.796 0.542 0.993
45 N 0.796 0.458 0.493
46 N 0.704 0.042 0.993
47 N 0.296 0.042 0.507
48 N 0.204 0.458 0.007
49 N 0.482 0.678 0.631
50 N 0.018 0.822 0.131
51 N 0.982 0.822 0.369
52 N 0.518 0.678 0.869
53 N 0.518 0.322 0.369
54 N 0.982 0.178 0.869
55 N 0.018 0.178 0.631
56 N 0.482 0.322 0.131

Results
Formation enthalpy at 0 K = -2.93 eV per formula unit
Total DFT energy (no corrections) = -481.366 eV for the cell shown
Volume = 536.5 Å³ per cell
Symmetry = No. 60

=====

Entry 8:
## Mn3Si2N6 (GGA-PBE)

Data for Mn3Si2N6 after structural relaxation.

Cell lengths 9.892, 7.282, 9.835 Å; angles 90.00, 90.00, 90.00 degrees
Fractional coordinates of all 66 atoms:
1 Mn 0.790 0.043 0.781
2 Mn 0.210 0.957 0.781
3 Mn 0.290 0.457 0.719
4 Mn 0.710 0.543 0.719
5 Mn 0.210 0.957 0.219
6 Mn 0.790 0.043 0.219
7 Mn 0.710 0.543 0.281
8 Mn 0.290 0.457 0.281
9 Mn 0.000 0.500 0.000
10 Mn 0.500 0.000 0.500
11 Mn 0.000 0.000 0.500
12 Mn 0.500 0.500 0.000
13 Mn 0.500 0.500 0.500
14 Mn 0.000 0.000 0.000
15 Mn 0.291 0.224 0.500
16 Mn 0.709 0.776 0.500
17 Mn 0.791 0.276 0.000
18 Mn 0.209 0.724 0.000
19 Si 0.515 0.223 0.769
20 Si 0.485 0.777 0.769
21 Si 0.015 0.277 0.731
22 Si 0.985 0.723 0.731
23 Si 0.485 0.777 0.231
24 Si 0.515 0.223 0.231
25 Si 0.985 0.723 0.269
26 Si 0.015 0.277 0.269
27 Si 0.784 0.226 0.500
28 Si 0.216 0.774 0.500
29 Si 0.284 0.274 0.000
30 Si 0.716 0.726 0.000
31 N 0.712 0.443 0.500
32 N 0.288 0.557 0.500
33 N 0.212 0.057 0.000
34 N 0.788 0.943 0.000
35 N 0.683 0.034 0.500
36 N 0.317 0.966 0.500
37 N 0.183 0.466 0.000
38 N 0.817 0.534 0.000
39 N 0.900 0.167 0.627
40 N 0.100 0.833 0.627
41 N 0.400 0.333 0.873
42 N 0.600 0.667 0.873
43 N 0.100 0.833 0.373
44 N 0.900 0.167 0.373
45 N 0.600 0.667 0.127
46 N 0.400 0.333 0.127
47 N 0.179 0.212 0.686
48 N 0.821 0.788 0.686
49 N 0.679 0.288 0.814
50 N 0.321 0.712 0.814
51 N 0.821 0.788 0.314
52 N 0.179 0.212 0.314
53 N 0.321 0.712 0.186
54 N 0.679 0.288 0.186
55 N 0.939 0.184 0.877
56 N 0.061 0.816 0.877
57 N 0.439 0.316 0.623
58 N 0.561 0.684 0.623
59 N 0.061 0.816 0.123
60 N 0.939 0.184 0.123
61 N 0.561 0.684 0.377
62 N 0.439 0.316 0.377
63 N 0.000 0.500 0.765
64 N 0.500 0.000 0.735
65 N 0.000 0.500 0.235
66 N 0.500 0.000 0.265

Results
Formation enthalpy at 0 K = -5.20 eV per formula unit
Total DFT energy (no corrections) = -548.349 eV for the cell shown
Volume = 708.5 Å³ per cell
Symmetry = No. 58